No. 1
# NpN2

A geometry-optimized NpN2 structure (r²SCAN, Materials Project).

Properties
As for the space-group type: No. 225. Its energy relative to the elements is -28.623 kcal/mol of atoms.

Lattice parameters (Å, degrees): 3.6939 3.6939 3.6939 60.00 60.00 60.00
With the nearest neighbours (Å) after each atom.
Fractional positions:
Np 0.0000 0.0000 0.0000  8 N 2.26
N 0.2500 0.2500 0.2500  4 Np 2.26
N 0.7500 0.7500 0.7500  4 Np 2.26

---

No. 2
# K4MnO4

A geometry-optimized K4MnO4 structure (r²SCAN, Materials Project).

Properties
Its energy relative to the elements is -40.166 kcal/mol of atoms.

Lattice parameters (Å, degrees): 7.0080 9.3805 10.5423 71.86 91.76 84.24
With the nearest neighbours (Å) after each atom.
Fractional positions:
K 0.6289 0.3764 0.4063  5 O 2.66-2.88
K 0.1289 0.3765 0.9063  5 O 2.66-2.88
K 0.3711 0.6235 0.5937  5 O 2.66-2.88
K 0.8711 0.6236 0.0937  5 O 2.66-2.88
K 0.9143 0.1555 0.6702  5 O 2.69-2.87
K 0.4143 0.1555 0.1702  5 O 2.69-2.87
K 0.0857 0.8445 0.3297  5 O 2.69-2.87
K 0.5857 0.8444 0.8298  5 O 2.69-2.87
K 0.2606 0.0336 0.5094  4 O 2.60-2.68
K 0.7607 0.0336 0.0094  4 O 2.60-2.68
K 0.7393 0.9664 0.4906  4 O 2.60-2.68
K 0.2394 0.9664 0.9905  4 O 2.60-2.68
K 0.1161 0.4377 0.3947  5 O 2.61-2.82
K 0.6161 0.4377 0.8947  5 O 2.61-2.82
K 0.8839 0.5623 0.6053  5 O 2.61-2.82
K 0.3839 0.5623 0.1053  5 O 2.61-2.82
Mn 0.4456 0.2488 0.7117  4 O 1.78-1.80
Mn 0.0544 0.7512 0.7883  4 O 1.78-1.80
Mn 0.9456 0.2488 0.2117  4 O 1.78-1.81
Mn 0.5543 0.7512 0.2883  4 O 1.78-1.81
O 0.1293 0.3707 0.1692  1 Mn 1.78
O 0.6293 0.3707 0.6692  1 Mn 1.78
O 0.8707 0.6294 0.8308  1 Mn 1.78
O 0.3707 0.6293 0.3308  1 Mn 1.78
O 0.7939 0.6578 0.3376  1 Mn 1.80
O 0.2938 0.6578 0.8376  1 Mn 1.79
O 0.2061 0.3422 0.6624  1 Mn 1.80
O 0.7061 0.3423 0.1624  1 Mn 1.80
O 0.9367 0.1931 0.3904  1 Mn 1.80
O 0.4368 0.1931 0.8904  1 Mn 1.80
O 0.0633 0.8068 0.6096  1 Mn 1.80
O 0.5633 0.8069 0.1096  1 Mn 1.80
O 0.0382 0.1124 0.1336  1 Mn 1.81
O 0.5382 0.1124 0.6336  1 Mn 1.80
O 0.9619 0.8876 0.8664  1 Mn 1.80
O 0.4618 0.8876 0.3664  1 Mn 1.81

---

No. 3
# CsPbBr3

A geometry-optimized CsPbBr3 structure (r²SCAN, Materials Project).

Properties
As for the space-group type: No. 38. Its energy relative to the elements is -34.322 kcal/mol of atoms.

Lattice parameters (Å, degrees): 8.2169 8.2169 6.0374 90.00 90.00 89.95
With the nearest neighbours (Å) after each atom.
Fractional positions:
Cs 0.4943 0.5057 0.5000  8 Br 3.72-4.12
Cs 0.9968 0.0032 0.5000  6 Br 3.72-4.02
Pb 0.9928 0.5083 0.0000  6 Br 2.99-3.02
Pb 0.4917 0.0072 0.0000  6 Br 2.99-3.02
Br 0.1801 0.1946 0.0000  2 Pb 2.99-3.00
Br 0.4862 0.0070 0.5000  2 Pb 3.02
Br 0.9930 0.5138 0.5000  2 Pb 3.02
Br 0.3065 0.6935 0.0000  2 Pb 2.99
Br 0.6811 0.3189 0.0000  2 Pb 3.00
Br 0.8054 0.8199 0.0000  2 Pb 2.99-3.00